Here is a relaxed Pr2Ta3Se2O8 crystal from the Materials Project. Energies are from PBE.

Properties
ΔH_f (0 K) (eV per atom): -3.095

a b c (Å): 10.0022 12.0173 7.6828
angles (deg): 90.00 90.00 90.00
Closest atoms and distances in Å follow each position.
Fractional positions:
Pr: 0.2102 0.1568 0.0000  7 O 2.53-2.61
Pr: 0.2273 0.1490 0.5000  7 O 2.50-2.64
Pr: 0.2727 0.6490 0.0000  7 O 2.50-2.64
Pr: 0.2898 0.6568 0.5000  7 O 2.53-2.61
Pr: 0.7102 0.3432 0.5000  7 O 2.53-2.61
Pr: 0.7273 0.3510 0.0000  7 O 2.50-2.64
Pr: 0.7727 0.8510 0.5000  7 O 2.50-2.64
Pr: 0.7898 0.8432 0.0000  7 O 2.53-2.61
Ta: 0.0000 0.5000 0.2855  2 O 2.00
Ta: 0.0000 0.5000 0.7145  2 O 2.00
Ta: 0.1359 0.9166 0.2497  4 O 1.85-1.97
Ta: 0.1359 0.9166 0.7503  4 O 1.85-1.97
Ta: 0.3641 0.4166 0.2503  4 O 1.85-1.97
Ta: 0.3641 0.4166 0.7497  4 O 1.85-1.97
Ta: 0.5000 0.0000 0.2145  2 O 2.00
Ta: 0.5000 0.0000 0.7855  2 O 2.00
Ta: 0.6359 0.5834 0.2503  4 O 1.85-1.97
Ta: 0.6359 0.5834 0.7497  4 O 1.85-1.97
Ta: 0.8641 0.0834 0.2497  4 O 1.85-1.97
Ta: 0.8641 0.0834 0.7503  4 O 1.85-1.97
Se: 0.0198 0.3367 0.5000  2 Ta 2.57
Se: 0.0233 0.3617 0.0000  2 Ta 2.76, 2 Pr 2.96-3.09
Se: 0.4767 0.8617 0.5000  2 Ta 2.76, 2 Pr 2.96-3.09
Se: 0.4802 0.8367 0.0000  2 Ta 2.57
Se: 0.5198 0.1633 0.0000  2 Ta 2.57
Se: 0.5233 0.1383 0.5000  2 Ta 2.76, 2 Pr 2.96-3.09
Se: 0.9767 0.6383 0.0000  2 Ta 2.76, 2 Pr 2.96-3.09
Se: 0.9802 0.6633 0.5000  2 Ta 2.57
O: 0.0561 0.1029 0.2542  1 Ta 1.94
O: 0.0561 0.1029 0.7458  1 Ta 1.94
O: 0.1354 0.9485 0.0000  2 Ta 1.96
O: 0.1503 0.9511 0.5000  2 Ta 1.97
O: 0.1972 0.5246 0.2648  2 Ta 2.00-2.12
O: 0.1972 0.5246 0.7352  2 Ta 2.00-2.12
O: 0.2124 0.7760 0.2482  1 Ta 1.85
O: 0.2124 0.7760 0.7518  1 Ta 1.85
O: 0.2876 0.2760 0.2518  1 Ta 1.85
O: 0.2876 0.2760 0.7482  1 Ta 1.85
O: 0.3028 0.0246 0.2352  2 Ta 2.00-2.12
O: 0.3028 0.0246 0.7648  2 Ta 2.00-2.12
O: 0.3497 0.4511 0.0000  2 Ta 1.97
O: 0.3646 0.4485 0.5000  2 Ta 1.96
O: 0.4439 0.6029 0.2458  1 Ta 1.94
O: 0.4439 0.6029 0.7542  1 Ta 1.94
O: 0.5561 0.3971 0.2458  1 Ta 1.94
O: 0.5561 0.3971 0.7542  1 Ta 1.94
O: 0.6354 0.5515 0.5000  2 Ta 1.96
O: 0.6503 0.5489 0.0000  2 Ta 1.97
O: 0.6972 0.9754 0.2352  2 Ta 2.00-2.12
O: 0.6972 0.9754 0.7648  2 Ta 2.00-2.12
O: 0.7124 0.7240 0.2518  1 Ta 1.85
O: 0.7124 0.7240 0.7482  1 Ta 1.85
O: 0.7876 0.2240 0.2482  1 Ta 1.85
O: 0.7876 0.2240 0.7518  1 Ta 1.85
O: 0.8028 0.4754 0.2648  2 Ta 2.00-2.12
O: 0.8028 0.4754 0.7352  2 Ta 2.00-2.12
O: 0.8497 0.0489 0.5000  2 Ta 1.97
O: 0.8646 0.0515 0.0000  2 Ta 1.96
O: 0.9439 0.8971 0.2542  1 Ta 1.94
O: 0.9439 0.8971 0.7458  1 Ta 1.94

Here is a relaxed Sr7RhN6 crystal from the Materials Project. Energies are from PBE.

Properties
ΔH_f (0 K) (eV per atom): -0.537

a b c (Å): 11.7242 6.7196 13.9385
angles (deg): 90.00 90.00 90.00
Closest atoms and distances in Å follow each position.
Fractional positions:
Sr: 0.0000 0.0681 0.2500  4 N 2.64-2.68
Sr: 0.0000 0.9319 0.7500  4 N 2.64-2.68
Sr: 0.0367 0.2308 0.5211  4 N 2.54-2.82
Sr: 0.0367 0.7692 0.0211  4 N 2.54-2.82
Sr: 0.2060 0.3929 0.1224  3 N 2.50-2.69
Sr: 0.2060 0.6071 0.6224  3 N 2.50-2.69
Sr: 0.2234 0.3632 0.8738  4 N 2.57-2.69
Sr: 0.2234 0.6368 0.3738  4 N 2.57-2.69
Sr: 0.2766 0.1368 0.3738  4 N 2.57-2.69
Sr: 0.2766 0.8632 0.8738  4 N 2.57-2.69
Sr: 0.2940 0.1071 0.6224  3 N 2.50-2.69
Sr: 0.2940 0.8929 0.1224  3 N 2.50-2.69
Sr: 0.4633 0.2692 0.0211  4 N 2.54-2.82
Sr: 0.4633 0.7308 0.5211  4 N 2.54-2.82
Sr: 0.5000 0.4319 0.7500  4 N 2.64-2.68
Sr: 0.5000 0.5681 0.2500  4 N 2.64-2.68
Sr: 0.5367 0.2692 0.4789  4 N 2.54-2.82
Sr: 0.5367 0.7308 0.9789  4 N 2.54-2.82
Sr: 0.7060 0.1071 0.8776  3 N 2.50-2.69
Sr: 0.7060 0.8929 0.3776  3 N 2.50-2.69
Sr: 0.7234 0.1368 0.1262  4 N 2.57-2.69
Sr: 0.7234 0.8632 0.6262  4 N 2.57-2.69
Sr: 0.7766 0.3632 0.6262  4 N 2.57-2.69
Sr: 0.7766 0.6368 0.1262  4 N 2.57-2.69
Sr: 0.7940 0.3929 0.3776  3 N 2.50-2.69
Sr: 0.7940 0.6071 0.8776  3 N 2.50-2.69
Sr: 0.9633 0.2308 0.9789  4 N 2.54-2.82
Sr: 0.9633 0.7692 0.4789  4 N 2.54-2.82
Rh: 0.0000 0.4248 0.7500  4 N 1.98-1.99
Rh: 0.0000 0.5752 0.2500  4 N 1.98-1.99
Rh: 0.5000 0.0752 0.2500  4 N 1.98-1.99
Rh: 0.5000 0.9248 0.7500  4 N 1.98-1.99
N: 0.0435 0.3918 0.3565  1 Rh 1.99
N: 0.0435 0.6082 0.8565  1 Rh 1.99
N: 0.1258 0.2469 0.7089  1 Rh 1.98
N: 0.1258 0.7531 0.2089  1 Rh 1.98
N: 0.1683 0.0961 0.9969  6 Sr 2.57-2.71
N: 0.1683 0.9039 0.4969  6 Sr 2.57-2.71
N: 0.3317 0.4039 0.4969  6 Sr 2.57-2.71
N: 0.3317 0.5961 0.9969  6 Sr 2.57-2.71
N: 0.3742 0.2531 0.2089  1 Rh 1.98
N: 0.3742 0.7469 0.7089  1 Rh 1.98
N: 0.4565 0.1082 0.8565  1 Rh 1.99
N: 0.4565 0.8918 0.3565  1 Rh 1.99
N: 0.5435 0.1082 0.6435  1 Rh 1.99
N: 0.5435 0.8918 0.1435  1 Rh 1.99
N: 0.6258 0.2531 0.2911  1 Rh 1.98
N: 0.6258 0.7469 0.7911  1 Rh 1.98
N: 0.6683 0.4039 0.0031  6 Sr 2.57-2.71
N: 0.6683 0.5961 0.5031  6 Sr 2.57-2.71
N: 0.8317 0.0961 0.5031  6 Sr 2.57-2.71
N: 0.8317 0.9039 0.0031  6 Sr 2.57-2.71
N: 0.8742 0.2469 0.7911  1 Rh 1.98
N: 0.8742 0.7531 0.2911  1 Rh 1.98
N: 0.9565 0.3918 0.1435  1 Rh 1.99
N: 0.9565 0.6082 0.6435  1 Rh 1.99

Here is a relaxed Na8MgTi2O8 crystal from the Materials Project. Energies are from PBE.

Properties
ΔH_f (0 K) (eV per atom): -2.182

a b c (Å): 6.4470 7.1911 7.1911
angles (deg): 77.60 90.00 90.00
Closest atoms and distances in Å follow each position.
Fractional positions:
Na: 0.0000 0.1470 0.8530  3 O 2.29-2.43
Na: 0.0000 0.8530 0.1470  3 O 2.29-2.43
Na: 0.2420 0.5777 0.9278  1 O 2.24
Na: 0.2420 0.9278 0.5777  1 O 2.24
Na: 0.5000 0.3343 0.6425  3 O 2.25-2.42
Na: 0.5000 0.6425 0.3343  3 O 2.25-2.42
Na: 0.7580 0.5777 0.9278  1 O 2.24
Na: 0.7580 0.9278 0.5777  1 O 2.24
Mg: 0.0000 0.2399 0.2399  4 O 2.01-2.04
Ti: 0.0000 0.4845 0.4845  4 O 1.84-1.88
Ti: 0.5000 0.1977 0.1977  4 O 1.80-1.91
O: 0.0000 0.2176 0.5275  1 Ti 1.88, 1 Mg 2.04
O: 0.0000 0.5275 0.2176  1 Ti 1.88, 1 Mg 2.04
O: 0.2343 0.1221 0.1221  1 Ti 1.91, 1 Mg 2.01
O: 0.2345 0.5774 0.5774  1 Ti 1.84
O: 0.5000 0.1230 0.4532  1 Ti 1.80
O: 0.5000 0.4532 0.1230  1 Ti 1.80
O: 0.7657 0.1221 0.1221  1 Ti 1.91, 1 Mg 2.01
O: 0.7655 0.5774 0.5774  1 Ti 1.84